Record 1
Material: Li2VO2F
Method: DFT, PBE with a Hubbard U
State: relaxed

a = 5.160 Å, b = 5.903 Å, c = 7.913 Å
α = 79.38°, β = 102.68°, γ = 106.52°
Fractional coordinates of all 24 atoms:
1 O 0.231 0.323 0.920
2 O 0.223 0.162 0.583
3 O 0.769 0.010 0.747
4 O 0.231 0.823 0.920
5 O 0.777 0.171 0.084
6 O 0.223 0.662 0.583
7 O 0.769 0.510 0.747
8 O 0.777 0.671 0.084
9 Li 0.000 0.667 0.333
10 Li 0.523 0.840 0.160
11 Li 0.500 0.667 0.833
12 Li 0.523 0.340 0.160
13 Li 0.477 0.493 0.507
14 Li 0.477 0.993 0.507
15 Li 0.500 0.167 0.833
16 Li 0.000 0.167 0.333
17 F 0.743 0.333 0.417
18 F 0.257 0.001 0.250
19 F 0.257 0.501 0.250
20 F 0.743 0.832 0.417
21 V 0.005 0.338 0.666
22 V 0.995 0.995 0.001
23 V 0.995 0.495 0.001
24 V 0.005 0.838 0.666

- E_tot: -6.19 eV per atom
- Energy of formation from the pure elements: -257.1 kJ/mol of atoms
- Energy above the lowest structure with this stoichiometry: 48 meV/atom

Record 2
Material: Li2VO2F
Method: DFT, PBE with a Hubbard U
State: relaxed

a = 5.720 Å, b = 7.104 Å, c = 5.720 Å
α = 78.85°, β = 89.59°, γ = 101.93°
Fractional coordinates of all 24 atoms:
1 O 0.248 0.989 0.754
2 O 0.085 0.344 0.413
3 O 0.256 0.019 0.247
4 O 0.756 0.018 0.747
5 O 0.077 0.315 0.920
6 O 0.585 0.344 0.913
7 O 0.748 0.990 0.254
8 O 0.577 0.314 0.420
9 Li 0.172 0.690 0.828
10 Li 0.507 0.024 0.995
11 Li 0.161 0.643 0.339
12 Li 0.007 0.024 0.495
13 Li 0.673 0.690 0.328
14 Li 0.661 0.643 0.839
15 Li 0.326 0.309 0.672
16 Li 0.827 0.309 0.172
17 V 0.830 0.329 0.666
18 V 0.331 0.330 0.166
19 V 0.003 0.004 0.001
20 V 0.502 0.004 0.501
21 F 0.910 0.643 0.589
22 F 0.411 0.643 0.089
23 F 0.422 0.690 0.577
24 F 0.923 0.691 0.078

- E_tot: -6.18 eV per atom
- Crystal system: triclinic
- SG: No. 2
- Energy of formation from the pure elements: -256.0 kJ/mol of atoms
- Energy above the lowest structure with this stoichiometry: 59 meV/atom

Record 3
Material: Li2V3O3F5
Method: DFT, PBE with a Hubbard U
State: relaxed

a = 5.894 Å, b = 5.933 Å, c = 5.935 Å
α = 60.44°, β = 60.84°, γ = 62.02°
Fractional coordinates of all 13 atoms:
1 F 0.865 0.373 0.392
2 F 0.368 0.373 0.402
3 F 0.391 0.871 0.853
4 F 0.881 0.397 0.837
5 F 0.886 0.871 0.854
6 V 0.145 0.641 0.608
7 V 0.610 0.627 0.613
8 V 0.629 0.124 0.626
9 O 0.383 0.377 0.840
10 O 0.855 0.857 0.430
11 O 0.369 0.852 0.408
12 Li 0.991 0.004 0.015
13 Li 0.261 0.244 0.239

- E_tot: -6.40 eV per atom
- Crystal system: triclinic
- SG: No. 1
- Energy of formation from the pure elements: -275.5 kJ/mol of atoms
- Energy above the lowest structure with this stoichiometry: 24 meV/atom

Record 4
Material: LiVOF3
Method: DFT, PBE with a Hubbard U
State: relaxed

a = 5.277 Å, b = 5.363 Å, c = 5.952 Å
α = 63.67°, β = 90.00°, γ = 90.00°
Fractional coordinates of all 12 atoms:
1 V 0.043 0.731 0.001
2 V 0.543 0.269 0.999
3 O 0.295 0.512 0.046
4 O 0.795 0.488 0.954
5 Li 0.262 0.270 0.476
6 Li 0.762 0.730 0.524
7 F 0.052 0.934 0.641
8 F 0.480 0.429 0.639
9 F 0.552 0.066 0.359
10 F 0.980 0.571 0.361
11 F 0.736 0.966 0.979
12 F 0.236 0.034 0.021

- E_tot: -5.96 eV per atom
- Crystal system: monoclinic
- Piezoelectric modulus e_max: 0.67 C/m²
- SG: No. 4
- Energy of formation from the pure elements: -287.3 kJ/mol of atoms
- Energy above the lowest structure with this stoichiometry: 0 meV/atom

Record 5
Material: Li5V6O5F19
Method: DFT, PBE with a Hubbard U
State: relaxed

a = 5.208 Å, b = 5.400 Å, c = 16.161 Å
α = 99.46°, β = 90.14°, γ = 90.38°
Fractional coordinates of all 35 atoms:
1 Li 0.034 0.954 0.773
2 Li 0.975 0.372 0.900
3 Li 0.742 0.497 0.482
4 Li 0.786 0.304 0.151
5 Li 0.459 0.497 0.786
6 O 0.808 0.637 0.695
7 O 0.701 0.134 0.694
8 O 0.195 0.689 0.972
9 O 0.709 0.462 0.352
10 O 0.787 0.304 0.016
11 F 0.799 0.967 0.356
12 F 0.918 0.619 0.221
13 F 0.311 0.517 0.648
14 F 0.623 0.477 0.884
15 F 0.383 0.842 0.775
16 F 0.430 0.226 0.447
17 F 0.284 0.204 0.968
18 F 0.190 0.025 0.648
19 F 0.908 0.296 0.553
20 F 0.203 0.365 0.308
21 F 0.066 0.690 0.443
22 F 0.593 0.122 0.218
23 F 0.417 0.525 0.115
24 F 0.073 0.075 0.111
25 F 0.584 0.770 0.552
26 F 0.112 0.346 0.782
27 F 0.914 0.987 0.882
28 F 0.702 0.813 0.028
29 F 0.295 0.875 0.316
30 V 0.517 0.193 0.334
31 V 0.027 0.960 0.997
32 V 0.524 0.864 0.665
33 V 0.527 0.486 0.006
34 V 0.999 0.668 0.332
35 V 0.978 0.364 0.666

- E_tot: -5.87 eV per atom
- Crystal system: triclinic
- SG: No. 1
- Energy of formation from the pure elements: -282.9 kJ/mol of atoms
- Energy above the lowest structure with this stoichiometry: 27 meV/atom

Record 6
Material: LiV4OF11
Method: DFT, PBE with a Hubbard U
State: relaxed

a = 5.266 Å, b = 5.498 Å, c = 17.424 Å
α = 88.28°, β = 98.50°, γ = 118.10°
Fractional coordinates of all 34 atoms:
1 F 0.828 0.415 0.840
2 F 0.324 0.965 0.288
3 F 0.674 0.830 0.909
4 F 0.274 0.933 0.814
5 F 0.826 0.724 0.531
6 F 0.281 0.831 0.437
7 F 0.728 0.554 0.686
8 F 0.258 0.431 0.306
9 F 0.686 0.552 0.216
10 F 0.763 0.168 0.559
11 F 0.316 0.156 0.087
12 F 0.199 0.775 0.971
13 F 0.685 0.353 0.413
14 F 0.202 0.606 0.153
15 F 0.175 0.082 0.662
16 F 0.800 0.898 0.346
17 F 0.713 0.062 0.184
18 F 0.220 0.303 0.937
19 F 0.680 0.034 0.716
20 F 0.330 0.664 0.591
21 F 0.790 0.193 0.038
22 F 0.322 0.456 0.784
23 V 0.498 0.757 0.250
24 V 0.025 0.498 0.499
25 V 0.751 0.406 0.121
26 V 0.249 0.142 0.379
27 V 0.252 0.616 0.875
28 V 0.754 0.872 0.627
29 V 0.500 0.245 0.751
30 V 0.983 0.980 0.002
31 Li 0.700 0.927 0.449
32 Li 0.448 0.795 0.071
33 O 0.758 0.693 0.062
34 O 0.153 0.277 0.459

- E_tot: -6.16 eV per atom
- Crystal system: triclinic
- SG: No. 1
- Energy of formation from the pure elements: -301.2 kJ/mol of atoms
- Energy above the lowest structure with this stoichiometry: 0 meV/atom

Record 7
Material: LiV2OF5
Method: DFT, PBE with a Hubbard U
State: relaxed

a = 5.136 Å, b = 5.499 Å, c = 7.670 Å
α = 84.58°, β = 90.00°, γ = 90.00°
Fractional coordinates of all 18 atoms:
1 O 0.689 0.191 0.057
2 O 0.311 0.191 0.557
3 F 0.210 0.292 0.927
4 F 0.317 0.816 0.936
5 F 0.618 0.498 0.747
6 F 0.852 0.005 0.753
7 F 0.382 0.498 0.247
8 F 0.822 0.693 0.066
9 F 0.790 0.292 0.427
10 F 0.683 0.816 0.436
11 F 0.148 0.005 0.253
12 F 0.178 0.693 0.566
13 V 0.015 0.011 0.507
14 V 0.985 0.011 0.007
15 V 0.518 0.493 0.002
16 V 0.482 0.493 0.502
17 Li 0.514 0.082 0.286
18 Li 0.486 0.082 0.785

- E_tot: -6.18 eV per atom
- Crystal system: monoclinic
- SG: No. 7
- Energy of formation from the pure elements: -293.7 kJ/mol of atoms
- Energy above the lowest structure with this stoichiometry: 18 meV/atom

Record 8
Material: Li3V4O3F9
Method: DFT, PBE with a Hubbard U
State: relaxed

a = 5.191 Å, b = 5.530 Å, c = 17.320 Å
α = 88.12°, β = 97.67°, γ = 117.97°
Fractional coordinates of all 38 atoms:
1 Li 0.062 0.454 0.674
2 Li 0.655 0.359 0.948
3 Li 0.342 0.101 0.552
4 Li 0.890 0.446 0.305
5 Li 0.198 0.167 0.199
6 Li 0.903 0.031 0.820
7 V 0.252 0.137 0.372
8 V 0.537 0.261 0.752
9 V 0.507 0.712 0.250
10 V 0.217 0.623 0.872
11 V 0.748 0.363 0.124
12 V 0.759 0.909 0.627
13 V 0.988 0.487 0.501
14 V 0.973 0.006 0.005
15 O 0.811 0.387 0.847
16 O 0.803 0.207 0.033
17 O 0.704 0.053 0.718
18 O 0.668 0.503 0.214
19 O 0.767 0.207 0.565
20 O 0.251 0.422 0.311
21 F 0.304 0.470 0.777
22 F 0.707 0.339 0.402
23 F 0.246 0.832 0.446
24 F 0.828 0.887 0.344
25 F 0.245 0.301 0.933
26 F 0.179 0.572 0.157
27 F 0.212 0.292 0.473
28 F 0.215 0.141 0.653
29 F 0.297 0.134 0.098
30 F 0.783 0.588 0.688
31 F 0.167 0.789 0.963
32 F 0.667 0.834 0.901
33 F 0.313 0.954 0.280
34 F 0.227 0.946 0.811
35 F 0.302 0.683 0.596
36 F 0.823 0.730 0.537
37 F 0.731 0.657 0.051
38 F 0.771 0.057 0.194

- E_tot: -6.17 eV per atom
- Crystal system: triclinic
- SG: No. 1
- Energy of formation from the pure elements: -284.9 kJ/mol of atoms
- Energy above the lowest structure with this stoichiometry: 23 meV/atom

Record 9
Material: Li2V2OF6
Method: DFT, PBE with a Hubbard U
State: relaxed

a = 5.483 Å, b = 8.769 Å, c = 6.597 Å
α = 107.74°, β = 94.26°, γ = 75.31°
Fractional coordinates of all 22 atoms:
1 O 0.452 0.375 0.107
2 O 0.548 0.625 0.893
3 F 0.158 0.199 0.267
4 F 0.842 0.801 0.733
5 F 0.756 0.293 0.505
6 F 0.049 0.730 0.062
7 F 0.595 0.848 0.289
8 F 0.310 0.931 0.913
9 F 0.404 0.152 0.712
10 F 0.690 0.069 0.087
11 F 0.209 0.463 0.680
12 F 0.244 0.707 0.495
13 F 0.791 0.537 0.320
14 F 0.951 0.270 0.938
15 V 0.225 0.696 0.783
16 V 0.327 0.184 0.002
17 V 0.673 0.816 0.999
18 V 0.776 0.304 0.216
19 Li 0.119 0.263 0.578
20 Li 0.438 0.626 0.230
21 Li 0.881 0.737 0.422
22 Li 0.561 0.374 0.770

- E_tot: -5.90 eV per atom
- Crystal system: triclinic
- SG: No. 2
- Energy of formation from the pure elements: -292.3 kJ/mol of atoms
- Energy above the lowest structure with this stoichiometry: 40 meV/atom

Record 10
Material: Li3V2O4F2
Method: DFT, PBE with a Hubbard U
State: relaxed

a = 5.152 Å, b = 5.152 Å, c = 14.854 Å
α = 89.65°, β = 89.65°, γ = 120.25°
Fractional coordinates of all 33 atoms:
1 V 0.330 0.003 0.833
2 V 0.003 0.330 0.833
3 V 0.333 0.333 0.169
4 V 0.670 0.997 0.167
5 V 0.667 0.667 0.831
6 V 0.997 0.670 0.167
7 O 0.006 0.347 0.094
8 O 0.980 0.980 0.763
9 O 0.661 0.325 0.235
10 O 0.354 0.354 0.907
11 O 0.675 0.339 0.765
12 O 0.994 0.653 0.906
13 O 0.020 0.020 0.237
14 O 0.653 0.994 0.906
15 O 0.646 0.646 0.093
16 O 0.325 0.661 0.235
17 O 0.347 0.006 0.094
18 O 0.339 0.675 0.765
19 Li 0.662 0.997 0.641
20 Li 0.997 0.662 0.641
21 Li 0.338 0.003 0.359
22 Li 0.333 0.667 0.000
23 Li 0.657 0.343 0.500
24 Li 0.667 0.333 0.000
25 Li 0.000 0.000 0.500
26 Li 0.003 0.338 0.359
27 Li 0.343 0.657 0.500
28 F 0.687 0.687 0.577
29 F 0.313 0.313 0.423
30 F 0.669 0.025 0.420
31 F 0.975 0.331 0.580
32 F 0.025 0.669 0.420
33 F 0.331 0.975 0.580

- E_tot: -6.35 eV per atom
- Crystal system: monoclinic
- SG: No. 12
- Energy of formation from the pure elements: -258.0 kJ/mol of atoms
- Energy above the lowest structure with this stoichiometry: 27 meV/atom

Record 11
Material: LiVOF3
Method: DFT, PBE with a Hubbard U
State: relaxed

a = 6.083 Å, b = 6.083 Å, c = 8.388 Å
α = 90.00°, β = 90.00°, γ = 90.00°
Fractional coordinates of all 24 atoms:
1 V 0.001 0.261 0.019
2 V 0.261 0.999 0.769
3 V 0.999 0.739 0.519
4 V 0.739 0.001 0.269
5 O 0.982 0.219 0.222
6 O 0.219 0.018 0.972
7 O 0.781 0.982 0.472
8 O 0.018 0.782 0.722
9 F 0.214 0.533 0.466
10 F 0.009 0.225 0.767
11 F 0.214 0.481 0.020
12 F 0.786 0.467 0.966
13 F 0.519 0.214 0.270
14 F 0.533 0.786 0.216
15 F 0.467 0.214 0.716
16 F 0.481 0.786 0.770
17 F 0.775 0.009 0.017
18 F 0.225 0.991 0.517
19 F 0.786 0.519 0.520
20 F 0.991 0.775 0.267
21 Li 0.746 0.249 0.626
22 Li 0.751 0.746 0.876
23 Li 0.249 0.254 0.376
24 Li 0.254 0.751 0.126

- E_tot: -5.93 eV per atom
- Crystal system: tetragonal
- SG: No. 76
- Energy of formation from the pure elements: -284.1 kJ/mol of atoms
- Energy above the lowest structure with this stoichiometry: 33 meV/atom

Record 12
Material: Li3V2O4F2
Method: DFT, PBE with a Hubbard U
State: relaxed

a = 5.216 Å, b = 5.959 Å, c = 14.939 Å
α = 90.75°, β = 90.77°, γ = 90.97°
Fractional coordinates of all 44 atoms:
1 O 0.489 0.230 0.240
2 O 0.166 0.757 0.105
3 O 0.004 0.502 0.242
4 O 0.682 0.516 0.100
5 O 0.845 0.770 0.427
6 O 0.173 0.229 0.566
7 O 0.662 0.496 0.563
8 O 0.662 0.021 0.562
9 O 0.996 0.987 0.242
10 O 0.168 0.250 0.104
11 O 0.833 0.242 0.427
12 O 0.658 0.993 0.102
13 O 0.174 0.756 0.566
14 O 0.324 0.479 0.426
15 O 0.504 0.762 0.240
16 O 0.329 0.997 0.422
17 Li 0.154 0.745 0.333
18 Li 0.128 0.757 0.828
19 Li 0.155 0.257 0.333
20 Li 0.313 0.995 0.691
21 Li 0.660 0.000 0.332
22 Li 0.508 0.750 0.956
23 Li 0.377 0.508 0.708
24 Li 0.517 0.248 0.962
25 Li 0.683 0.977 0.828
26 Li 0.840 0.274 0.709
27 Li 0.973 0.505 0.967
28 Li 0.148 0.241 0.845
29 V 0.835 0.248 0.169
30 V 0.502 0.251 0.494
31 V 0.339 0.500 0.172
32 V 0.500 0.747 0.497
33 V 0.825 0.746 0.169
34 V 0.997 0.001 0.501
35 V 0.329 0.999 0.162
36 V 0.000 0.502 0.503
37 F 0.837 0.248 0.916
38 F 0.837 0.753 0.913
39 F 0.002 0.019 0.756
40 F 0.360 0.004 0.907
41 F 0.314 0.494 0.931
42 F 0.470 0.774 0.755
43 F 0.506 0.235 0.738
44 F 0.055 0.485 0.756

- E_tot: -6.34 eV per atom
- Crystal system: triclinic
- SG: No. 1
- Energy of formation from the pure elements: -257.1 kJ/mol of atoms
- Energy above the lowest structure with this stoichiometry: 36 meV/atom

Question: Which formula does entry 3 have?
Answer: Li2V3O3F5